LiNiO2, relaxed, DFT GGA+U; energy of formation = -33.10 kcal/mol of atoms; ρ = 4326 kg/m3; V = 37.5 Å³/cell
1.0
2.941 0.000 0.000
-1.470 2.547 0.000
0.000 0.000 5.002
Li Ni O
1 1 2
direct
0.667 0.333 0.404
0.000 0.000 0.971
0.333 0.667 0.191
0.667 0.333 0.785

***

Li3Ni8O16, relaxed, DFT GGA+U; energy of formation = -24.62 kcal/mol of atoms; ρ = 4584 kg/m3; V = 270.4 Å³/cell
1.0
-3.253 -2.961 -2.308
4.990 -1.149 -3.945
2.309 -5.796 5.854
Li Ni O
3 8 16
direct
0.000 0.500 0.500
0.500 0.136 0.865
0.500 0.864 0.135
0.750 0.063 0.438
0.752 0.566 0.938
0.250 0.686 0.811
0.750 0.814 0.689
0.250 0.186 0.311
0.750 0.314 0.189
0.248 0.434 0.062
0.250 0.937 0.562
0.893 0.567 0.737
0.853 0.055 0.234
0.623 0.569 0.139
0.866 0.308 0.985
0.601 0.815 0.890
0.607 0.061 0.638
0.355 0.680 0.607
0.894 0.813 0.489
0.106 0.187 0.511
0.645 0.320 0.393
0.393 0.939 0.362
0.399 0.185 0.110
0.134 0.692 0.015
0.377 0.431 0.861
0.147 0.945 0.766
0.107 0.433 0.263

***

LiNi9O13, relaxed, DFT GGA+U; energy of formation = -22.37 kcal/mol of atoms; ρ = 5493 kg/m3; V = 224.7 Å³/cell; polymorph energy (0 for the lowest one) = 0.000 eV per atom
1.0
-0.393 -2.233 -1.787
3.141 3.229 -2.398
10.938 -8.496 8.228
Li Ni O
1 9 13
direct
0.792 0.586 0.771
0.499 0.997 0.497
0.647 0.296 0.049
0.353 0.708 0.961
0.748 0.495 0.411
0.252 0.504 0.580
0.938 0.876 0.126
0.066 0.133 0.876
0.994 0.987 0.332
0.011 0.023 0.667
0.997 0.995 0.013
0.876 0.751 0.227
0.138 0.275 0.772
0.297 0.598 0.076
0.701 0.404 0.933
0.566 0.132 0.153
0.427 0.856 0.858
0.610 0.220 0.309
0.385 0.769 0.686
0.384 0.767 0.381
0.618 0.236 0.611
0.125 0.250 0.456
0.867 0.732 0.530

***

Li6NiO4, relaxed, DFT GGA+U; energy of formation = -43.51 kcal/mol of atoms; ρ = 2687 kg/m3; V = 406.3 Å³/cell; polymorph energy (0 for the lowest one) = 0.000 eV per atom
1.0
0.000 0.000 4.665
6.641 6.561 0.000
-6.637 6.559 0.000
Li Ni O
24 4 16
direct
0.700 0.252 0.998
0.700 0.748 0.502
0.200 0.252 0.998
0.200 0.748 0.502
0.302 0.752 0.002
0.302 0.248 0.498
0.801 0.752 0.002
0.802 0.248 0.498
0.748 0.282 0.249
0.749 0.782 0.752
0.749 0.498 0.468
0.748 0.001 0.968
0.749 0.502 0.032
0.748 0.999 0.532
0.748 0.718 0.251
0.749 0.218 0.748
0.248 0.282 0.747
0.253 0.782 0.252
0.248 0.503 0.968
0.253 0.998 0.468
0.248 0.497 0.532
0.253 0.002 0.032
0.248 0.718 0.753
0.253 0.218 0.248
0.765 0.000 0.250
0.239 0.500 0.250
0.239 0.000 0.750
0.741 0.500 0.750
0.960 0.135 0.115
0.962 0.629 0.621
0.963 0.371 0.879
0.960 0.865 0.385
0.463 0.131 0.879
0.463 0.629 0.381
0.463 0.371 0.119
0.463 0.869 0.621
0.041 0.634 0.118
0.041 0.132 0.616
0.041 0.868 0.885
0.041 0.366 0.382
0.538 0.871 0.121
0.540 0.366 0.616
0.540 0.634 0.884
0.538 0.129 0.379

***

Li7Ni5O12, relaxed, DFT GGA+U; energy of formation = -35.05 kcal/mol of atoms; ρ = 4414 kg/m3; V = 200.9 Å³/cell; polymorph energy (0 for the lowest one) = 0.015 eV per atom
1.0
5.771 0.000 0.000
-1.439 6.204 0.000
-2.879 -1.429 5.611
Li Ni O
7 5 12
direct
0.248 0.670 0.165
0.000 0.000 0.000
0.747 0.998 0.497
0.753 0.673 0.164
0.752 0.330 0.835
0.253 0.002 0.503
0.247 0.327 0.836
0.000 0.668 0.669
0.504 0.667 0.671
0.500 0.000 0.000
0.496 0.333 0.329
0.000 0.332 0.331
0.862 0.663 0.887
0.392 0.019 0.239
0.608 0.981 0.761
0.380 0.687 0.919
0.856 0.018 0.239
0.869 0.348 0.562
0.144 0.982 0.761
0.138 0.337 0.113
0.375 0.350 0.580
0.625 0.650 0.420
0.620 0.313 0.081
0.131 0.652 0.438

***

LiNiO2, relaxed, DFT GGA+U; energy of formation = -33.75 kcal/mol of atoms; ρ = 4764 kg/m3; V = 136.1 Å³/cell
1.0
3.228 -4.565 -1.263
4.507 3.475 -0.742
0.338 -4.435 3.739
Li Ni O
4 4 8
direct
0.500 0.000 0.000
0.000 0.500 0.000
0.500 0.000 0.500
0.000 0.000 0.500
0.500 0.500 0.500
0.000 0.000 0.000
0.500 0.500 0.000
0.000 0.500 0.500
0.754 0.721 0.500
0.246 0.279 0.500
0.228 0.742 0.499
0.772 0.258 0.501
0.732 0.268 0.037
0.230 0.270 0.040
0.268 0.732 0.963
0.770 0.730 0.960

***

LiNiO2, relaxed, DFT GGA+U; energy of formation = -34.35 kcal/mol of atoms; ρ = 4646 kg/m3; V = 104.7 Å³/cell
1.0
-2.118 -4.493 0.826
-0.384 8.744 0.188
-3.252 -0.060 -3.874
Li Ni O
3 3 6
direct
0.999 0.000 0.000
0.001 0.333 0.000
0.000 0.667 0.000
0.999 0.166 0.500
0.000 0.834 0.500
0.000 0.500 0.500
0.459 0.229 0.269
0.512 0.928 0.277
0.512 0.584 0.277
0.489 0.072 0.722
0.489 0.418 0.722
0.539 0.769 0.732

***

LiNi3O4, relaxed, DFT GGA+U; energy of formation = -31.16 kcal/mol of atoms; ρ = 5669 kg/m3; V = 144.7 Å³/cell; polymorph energy (0 for the lowest one) = 0.004 eV per atom
1.0
-2.613 4.529 2.675
2.942 5.056 0.807
-4.393 -0.262 -3.917
Li Ni O
2 6 8
direct
0.500 0.500 0.500
0.000 0.500 0.500
0.000 0.500 0.000
0.500 0.500 0.000
0.500 0.000 0.000
0.000 0.000 0.000
0.000 0.000 0.500
0.500 0.000 0.500
0.264 0.500 0.767
0.738 0.501 0.775
0.735 0.500 0.233
0.262 0.499 0.225
0.755 0.990 0.744
0.245 0.011 0.756
0.245 0.011 0.255
0.755 0.989 0.244

***

LiNiO2, relaxed, DFT GGA+U; energy of formation = -13.83 kcal/mol of atoms; ρ = 2478 kg/m3; V = 65.4 Å³/cell
1.0
-3.164 -0.782 0.515
1.800 -1.738 -2.152
1.897 -4.327 5.080
Li Ni O
1 1 2
direct
0.000 0.000 0.500
0.000 0.000 0.000
0.000 0.000 0.756
0.000 0.000 0.244

***

LiNiO3, relaxed, DFT GGA+U; energy of formation = -16.27 kcal/mol of atoms; ρ = 3507 kg/m3; V = 53.8 Å³/cell
1.0
-1.476 0.125 3.472
3.464 -0.241 1.481
0.271 3.765 -0.020
Li Ni O
1 1 3
direct
0.000 0.000 0.000
0.500 0.500 0.500
0.500 0.500 0.000
0.500 0.000 0.500
0.000 0.500 0.500

***

LiNi9O13, relaxed, DFT GGA+U; energy of formation = -20.37 kcal/mol of atoms; ρ = 5372 kg/m3; V = 229.7 Å³/cell; polymorph energy (0 for the lowest one) = 0.087 eV per atom
1.0
2.889 0.000 -0.001
-1.444 4.922 -0.770
-0.007 -0.088 16.172
Li Ni O
1 9 13
direct
0.433 0.865 0.315
0.494 0.992 0.516
0.645 0.286 0.042
0.347 0.690 0.952
0.738 0.480 0.435
0.249 0.501 0.607
0.923 0.842 0.117
0.060 0.117 0.878
0.114 0.231 0.240
0.004 0.009 0.678
0.996 0.987 0.994
0.914 0.827 0.236
0.122 0.244 0.777
0.293 0.582 0.065
0.692 0.385 0.925
0.585 0.169 0.154
0.435 0.863 0.852
0.639 0.282 0.318
0.396 0.792 0.707
0.357 0.718 0.416
0.611 0.224 0.628
0.133 0.270 0.484
0.883 0.768 0.568

***

Li6NiO4, relaxed, DFT GGA+U; energy of formation = -43.46 kcal/mol of atoms; ρ = 2686 kg/m3; V = 406.4 Å³/cell; polymorph energy (0 for the lowest one) = 0.003 eV per atom
1.0
6.601 0.002 0.000
0.002 6.599 4.665
-0.003 -6.599 4.665
Li Ni O
24 4 16
direct
0.250 0.475 0.225
0.250 0.975 0.725
0.250 0.225 0.975
0.250 0.725 0.475
0.750 0.526 0.776
0.750 0.026 0.276
0.750 0.776 0.026
0.750 0.276 0.526
0.031 0.641 0.108
0.031 0.141 0.608
0.030 0.858 0.891
0.030 0.358 0.391
0.470 0.641 0.108
0.470 0.141 0.608
0.469 0.858 0.891
0.469 0.358 0.391
0.532 0.140 0.110
0.532 0.640 0.609
0.533 0.359 0.890
0.533 0.859 0.390
0.967 0.140 0.109
0.967 0.640 0.609
0.968 0.360 0.890
0.968 0.860 0.390
0.750 0.996 0.746
0.250 0.496 0.746
0.250 0.996 0.246
0.750 0.496 0.246
0.011 0.607 0.356
0.011 0.107 0.856
0.489 0.606 0.357
0.489 0.106 0.857
0.249 0.237 0.226
0.249 0.737 0.726
0.251 0.476 0.987
0.251 0.976 0.487
0.516 0.395 0.646
0.516 0.895 0.146
0.984 0.396 0.645
0.984 0.896 0.145
0.749 0.762 0.779
0.749 0.262 0.279
0.751 0.529 0.012
0.751 0.029 0.512